Here is an optimized crystal structure of CeMg6Zr from the Materials Project database. Energies are from PBE.

Lattice parameters (Å, degrees): 6.6772 6.1189 5.2132 90.00 90.00 117.27
Closest atoms and distances in Å follow each position.
Positions (direct):
Mg  0.3444  0.1767  0.7500  6 Mg 3.00-3.27, 2 Zr 3.19, 2 Ce 3.24
Mg  0.8271  0.6636  0.7500  8 Mg 3.06-3.23, 2 Ce 3.24
Mg  0.6551  0.3266  0.2500  8 Mg 3.05-3.25, 2 Zr 3.28-3.40, 2 Ce 3.32-3.35
Mg  0.8556  0.1778  0.7500  10 Mg 3.06-3.41, 2 Zr 3.19
Mg  0.6551  0.8285  0.2500  8 Mg 3.05-3.25, 2 Zr 3.28-3.40, 2 Ce 3.32-3.35
Mg  0.3444  0.6677  0.7500  6 Mg 3.00-3.27, 2 Zr 3.19, 2 Ce 3.24
Zr  0.1664  0.3332  0.2500  2 Ce 3.06, 10 Mg 3.19-3.40
Ce  0.1518  0.8259  0.2500  2 Zr 3.06, 10 Mg 3.24-3.35

Properties
E_form = 0.11 eV per atom
VASP energy = -23.239 eV/cell
Space group = Amm2
Relative energy among the computed polymorphs = 0.0144 eV per atom
Spin magnetization = 0.055 μB per atom